The following is a r²SCAN calculation of a relaxed FeSe2 crystal, from the Materials Project database.

```
12
Lattice="5.7663 0.0000 0.0000 0.0000 5.7663 0.0000 0.0000 0.0000 5.7663" Properties=species:S:1:pos:R:3 pbc="T T T"
Fe 0.0000 0.0000 0.0000
Fe 0.0000 2.8832 2.8832
Fe 2.8832 0.0000 2.8832
Fe 2.8832 2.8832 0.0000
Se 0.7077 3.5909 5.0586
Se 0.7077 5.0586 2.1755
Se 2.1755 0.7077 5.0586
Se 2.1755 2.1755 2.1755
Se 3.5909 3.5909 3.5909
Se 3.5909 5.0586 0.7077
Se 5.0586 0.7077 3.5909
Se 5.0586 2.1755 0.7077
```

## Properties
total magnetic moment	0.00	μB per atom
SG	No. 205
ΔH_f (0 K)	-266.9	meV per atom
total DFT energy (no corrections)	-14.61	eV per atom

The following is a r²SCAN calculation of a relaxed FeSe2 crystal, from the Materials Project database.

```
6
Lattice="4.7796 0.0000 0.0000 0.0000 5.7563 0.0000 0.0000 0.0000 3.5809" Properties=species:S:1:pos:R:3 pbc="T T T"
Fe 0.0000 0.0000 0.0000
Fe 2.3898 2.8781 1.7905
Se 1.0193 2.1285 0.0000
Se 1.3705 5.0066 1.7905
Se 3.4091 0.7496 1.7905
Se 3.7603 3.6278 0.0000
```

## Properties
total magnetic moment	0.00	μB per atom
SG	No. 58
ΔH_f (0 K)	-298.9	meV per atom
total DFT energy (no corrections)	-14.64	eV per atom

The following is a r²SCAN calculation of a relaxed Ta11Fe2Se8 crystal, from the Materials Project database.

```
42
Lattice="12.1508 0.0000 0.0000 0.0000 19.5733 0.0000 0.0000 0.0000 3.4180" Properties=species:S:1:pos:R:3 pbc="T T T"
Ta 0.0000 0.0000 0.0000
Ta 0.6412 4.7685 0.0000
Ta 0.7540 2.2761 1.7090
Ta 1.8401 15.4399 1.7090
Ta 2.0916 6.9240 1.7090
Ta 2.1742 18.5301 1.7090
Ta 3.9013 8.7434 0.0000
Ta 3.9838 16.7107 0.0000
Ta 4.2353 5.6533 0.0000
Ta 5.3214 12.0627 0.0000
Ta 5.4343 14.5551 1.7090
Ta 6.0754 9.7866 1.7090
Ta 6.7166 5.0182 1.7090
Ta 6.8294 7.5106 0.0000
Ta 7.9155 13.9200 0.0000
Ta 8.1671 2.8626 0.0000
Ta 8.2496 10.8299 0.0000
Ta 9.9767 1.0432 1.7090
Ta 10.0592 12.6493 1.7090
Ta 10.3107 4.1334 1.7090
Ta 11.3969 17.2972 1.7090
Ta 11.5097 14.8048 0.0000
Fe 1.1402 17.1102 0.0000
Fe 4.9352 7.3236 1.7090
Fe 7.2156 12.2497 1.7090
Fe 11.0106 2.4630 0.0000
Se 0.5048 13.1934 1.7090
Se 1.3515 8.7430 0.0000
Se 2.4790 1.1112 0.0000
Se 2.6153 4.2485 1.7090
Se 3.4601 14.0351 0.0000
Se 3.5965 10.8978 1.7090
Se 4.7239 18.5296 1.7090
Se 5.5706 3.4068 0.0000
Se 6.5802 16.1665 0.0000
Se 7.4269 1.0436 1.7090
Se 8.5544 8.6754 1.7090
Se 8.6907 5.5382 0.0000
Se 9.5355 15.3248 1.7090
Se 9.6719 18.4621 0.0000
Se 10.7994 10.8303 0.0000
Se 11.6460 6.3799 1.7090
```

## Properties
total magnetic moment	0.00	μB per atom
SG	No. 58
ΔH_f (0 K)	-573.1	meV per atom
total DFT energy (no corrections)	-32.85	eV per atom

The following is a r²SCAN calculation of a relaxed FeSi crystal, from the Materials Project database.

```
8
Lattice="4.4022 0.0000 0.0000 0.0000 4.4022 0.0000 0.0000 0.0000 4.4022" Properties=species:S:1:pos:R:3 pbc="T T T"
Fe 0.6027 0.6027 0.6027
Fe 1.5984 3.7995 2.8038
Fe 2.8038 1.5984 3.7995
Fe 3.7995 2.8038 1.5984
Si 0.6986 1.5025 2.8997
Si 1.5025 2.8997 0.6986
Si 2.8997 0.6986 1.5025
Si 3.7036 3.7036 3.7036
```

## Properties
total magnetic moment	0.00	μB per atom
SG	No. 198
ΔH_f (0 K)	-272.9	meV per atom
total DFT energy (no corrections)	-11.87	eV per atom

no.,theoretical density (g cm⁻³)
1,7.4
2,7.2
3,11.2
4,6.5